DFT (GGA+U) results for BaCaMn4O12 after structural relaxation.

Structure (POSCAR):
```
BaCaMn4O12
1.0
-2.0598 -1.3117 4.8362
3.5663 -4.0569 0.4186
4.9605 4.7105 3.3905
Ba Ca Mn O
1 1 4 12
Direct
0.5000 0.5000 0.0000
0.0000 0.0000 0.5000
0.0000 0.5000 0.7488
0.0000 0.5000 0.2512
0.5000 0.0000 0.7488
0.5000 0.0000 0.2512
0.2409 0.2409 0.7380
0.2409 0.2409 0.2620
0.7591 0.7591 0.7380
0.7591 0.7591 0.2620
0.7591 0.2409 0.7380
0.7591 0.2409 0.2620
0.2409 0.7591 0.7380
0.2409 0.7591 0.2620
0.0000 0.5000 0.5000
0.0000 0.5000 0.0000
0.5000 0.0000 0.5000
0.5000 0.0000 0.0000
```

Properties
Its space group is P4/mmm, No. 123. The calculation puts the formation energy at -1681 meV/atom. As for the crystal system: tetragonal.